# 1
VASP calculation (GGA-PBE) on KGdNb6Cl18 after structural relaxation.

The structure in extended XYZ format:
```
26
Lattice="4.7212 2.7258 8.6304 -4.7212 2.7258 8.6304 0.0000 -5.4516 8.6304" Properties=species:S:1:pos:R:3 pbc="T T T"
K 0.0000 0.0000 0.0000
Gd 0.0000 0.0000 7.1575
Nb -1.6605 0.3243 18.9493
Nb -1.1044 -1.2856 21.3373
Nb 0.5494 -1.6002 18.9493
Nb -0.5611 1.5992 21.3373
Nb 1.1111 1.2759 18.9493
Nb 1.6655 -0.3137 21.3373
Cl -4.0950 0.6757 11.4921
Cl -3.4197 -1.2150 14.3371
Cl -2.2143 0.2735 8.7477
Cl -1.4704 -1.5678 11.5269
Cl -0.8887 -3.4231 14.2755
Cl 0.8703 -2.0544 8.7477
Cl 1.4623 -3.8842 11.4921
Cl -2.5201 2.4811 14.2755
Cl -1.3028 -1.5024 17.3174
Cl -0.6226 2.0573 11.5269
Cl 1.3440 1.7809 8.7477
Cl 2.0929 -0.4895 11.5269
Cl 2.7621 -2.3541 14.3371
Cl -0.6497 1.8795 17.3173
Cl 0.6577 3.5691 14.3371
Cl 1.9526 -0.3771 17.3173
Cl 2.6326 3.2085 11.4921
Cl 3.4088 0.9419 14.2755
```

total magnetization = 7.00 μB per cell
space-group type = No. 146
energy with MP2020 corrections = -6.10 eV per atom

---

# 2
VASP calculation (GGA-PBE) on MgVFeS4 after structural relaxation.

The structure in extended XYZ format:
```
14
Lattice="-3.4873 3.5786 5.0474 3.4873 -3.5786 5.0474 3.4873 3.5786 -5.0474" Properties=species:S:1:pos:R:3 pbc="T T T"
Mg 0.0000 1.7893 1.2569
Mg 3.4873 1.7893 3.7906
V 1.7437 1.7893 -2.5237
V 1.7437 -1.7893 2.5237
Fe 3.4873 0.0000 0.0000
Fe 0.0000 0.0000 5.0474
S 3.4873 -0.1260 2.3218
S 2.0184 1.7893 -0.0960
S 4.9563 1.7893 -0.0960
S 3.4873 3.4526 -2.3218
S 0.0000 0.1260 7.3692
S -1.4690 1.7893 5.1434
S 1.4690 1.7893 5.1434
S 0.0000 3.7046 2.7256
```

total magnetization = 5.91 μB per cell
space-group type = No. 74
energy with MP2020 corrections = -6.14 eV per atom

---

# 3
VASP calculation (GGA-PBE) on Na2O after structural relaxation.

The structure in extended XYZ format:
```
9
Lattice="6.1899 0.0000 0.0000 -3.0949 5.3606 0.0000 0.0000 0.0000 3.6533" Properties=species:S:1:pos:R:3 pbc="T T T"
Na 4.9137 2.2093 0.0000
Na -2.2857 3.9600 1.8259
Na 0.8083 1.4011 1.8259
Na 2.5514 0.0006 0.0000
Na 1.8197 3.1507 0.0000
Na 1.4774 5.3600 1.8259
O 0.0000 0.0000 3.6521
O 0.0000 3.5737 1.7907
O 3.0949 1.7869 1.8514
```

space-group type = No. 143
energy with MP2020 corrections = -3.89 eV per atom

---

# 4
VASP calculation (GGA-PBE) on LiHo2CuSi4O12 after structural relaxation.

The structure in extended XYZ format:
```
20
Lattice="5.0225 0.0000 0.0000 1.5744 6.9476 0.0000 0.6109 3.2199 7.0571" Properties=species:S:1:pos:R:3 pbc="T T T"
Li 0.0000 0.0000 0.0000
Ho 2.1770 8.0351 3.9979
Ho 1.5819 4.5562 3.0040
Cu 2.1820 7.5474 7.0524
Si 3.2277 3.1213 5.4742
Si 4.1928 6.6258 1.4856
Si 4.5504 5.9412 5.4680
Si 3.9838 2.5317 1.4743
O 2.0564 2.7938 4.4106
O 2.9331 6.4351 2.4955
O 2.5811 3.2478 7.0220
O 3.5119 7.1765 5.5548
O 2.8490 3.6645 1.4834
O 3.6910 4.6245 4.9199
O 3.4191 1.0514 1.9851
O 5.1296 5.4532 6.9697
O 5.3570 5.4993 1.3536
O 6.1189 9.1477 5.5893
O 5.8114 6.1733 4.4600
O 5.2097 2.7901 2.5065
```

offset from the most stable computed form = 0.000 eV/atom
total magnetization = 0.00 μB per cell
space-group type = No. 1
energy with MP2020 corrections = -7.98 eV per atom

---

# 5
VASP calculation (GGA-PBE) on LuNb6Cl13O3 after structural relaxation.

The structure in extended XYZ format:
```
92
Lattice="-4.6737 4.6737 26.9701 4.6737 -4.6737 26.9701 4.6737 4.6737 -26.9701" Properties=species:S:1:pos:R:3 pbc="T T T"
Lu 0.0000 0.0000 5.0871
Lu 0.0000 4.6737 8.3980
Lu 0.0000 4.6737 18.5722
Lu 0.0000 0.0000 48.8531
Nb 3.8303 1.1724 -4.8594
Nb 6.4471 1.0793 -3.4086
Nb 3.5013 3.8303 -18.3444
Nb 3.9178 1.3180 -1.8417
Nb 3.3557 3.9178 -15.3267
Nb 1.1724 0.8434 8.6257
Nb 1.3180 0.7559 11.6434
Nb 3.5945 -1.7734 30.3787
Nb -1.0793 1.7734 10.0765
Nb 1.3180 3.9178 1.8417
Nb 1.1724 3.8303 4.8594
Nb 3.3557 0.7559 28.8118
Nb 3.9178 3.3557 15.3267
Nb 3.5013 0.8434 31.8295
Nb -2.9003 3.5945 16.8937
Nb 3.8303 3.5013 18.3444
Nb 1.0793 6.4471 3.4086
Nb 0.8434 3.5013 22.1108
Nb -1.7734 3.5945 23.5615
Nb 0.7559 3.3557 25.1284
Nb 0.7559 1.3180 42.2969
Nb 2.9003 5.7530 16.8937
Nb 0.8434 1.1724 45.3145
Nb 1.0793 7.5740 10.0765
Cl 4.6737 0.0000 0.0933
Cl 2.1748 -0.5066 3.8218
Cl 2.7247 -1.1099 8.3163
Cl 5.1803 2.1748 -9.6632
Cl 6.2989 -1.6252 13.4851
Cl 3.4384 -1.8849 15.1915
Cl 2.7889 -1.2353 11.7787
Cl 7.1726 0.5066 3.8218
Cl 1.7735 2.9464 -10.1110
Cl 3.5638 -1.9491 18.6538
Cl 2.3369 2.4612 -6.7425
Cl 4.1671 -2.4989 23.1483
Cl 5.7836 2.7247 -5.1687
Cl 0.1975 1.7417 1.6200
Cl 0.0000 0.0000 13.5783
Cl 2.9002 2.9464 -3.3740
Cl 5.9090 2.7889 -1.7064
Cl 6.6228 1.1099 8.3163
Cl 3.0485 3.0485 0.0000
Cl 6.5586 1.2353 11.7787
Cl 2.9464 2.9002 3.3740
Cl 2.4612 2.3369 6.7425
Cl 2.9464 1.7735 10.1110
Cl 1.8849 -1.2353 28.6765
Cl 3.0485 1.6252 13.4851
Cl 1.9491 -1.1099 32.1388
Cl 5.9090 1.8849 15.1915
Cl 2.9002 1.7274 16.8591
Cl 4.6737 0.0000 26.8769
Cl 0.1975 2.9320 11.8651
Cl 5.7836 1.9491 18.6538
Cl -0.5066 2.4989 17.3069
Cl 2.3369 2.2125 20.2276
Cl -1.1099 1.9491 21.8014
Cl 1.7735 1.7274 23.5961
Cl 2.4989 -0.5066 36.6334
Cl 2.7889 5.9090 1.7064
Cl -1.2353 1.8849 25.2637
Cl 1.6252 1.6252 26.9701
Cl 5.1803 2.4989 23.1483
Cl 2.7247 5.7836 5.1687
Cl 2.1748 5.1803 9.6632
Cl 0.0000 0.0000 40.3619
Cl 1.7274 1.7735 30.3441
Cl 1.7417 4.4762 15.1050
Cl -1.7417 4.8712 15.1050
Cl -0.1975 7.6057 1.6200
Cl 2.2125 2.3369 33.7127
Cl -0.1975 6.4155 11.8651
Cl 2.9320 4.4762 25.3501
Cl -2.9320 4.8712 25.3501
Cl 1.7274 2.9002 37.0812
O 0.0000 0.0000 7.1777
O 0.1483 2.1202 4.7908
O 0.1483 2.5535 8.6943
O 0.0000 4.6737 6.3073
O 2.1202 4.5254 18.2758
O -2.1202 4.8221 18.2758
O -0.1483 7.2272 4.7908
O 0.0000 0.0000 46.7625
O 0.0000 4.6737 20.6628
O -0.1483 6.7940 8.6943
O 2.5535 4.5254 22.1794
O -2.5535 4.8221 22.1794
```

total magnetization = 0.00 μB per cell
space-group type = No. 98
energy with MP2020 corrections = -6.30 eV per atom

---

# 6
VASP calculation (GGA-PBE) on HfMg6Zr after structural relaxation.

The structure in extended XYZ format:
```
16
Lattice="-0.2989 0.9439 4.9582 2.1540 -5.8800 1.2492 10.5384 3.8401 -0.0957" Properties=species:S:1:pos:R:3 pbc="T T T"
Mg 7.7621 -2.2057 0.8879
Mg 1.5857 1.1042 2.4633
Mg 11.1526 -0.4411 3.3343
Mg 6.6622 0.7969 0.2500
Mg 5.8622 -2.3033 3.3699
Mg 7.9319 0.0843 3.0401
Mg 2.4699 -4.0631 0.9224
Mg 9.8800 0.2678 0.5447
Mg 4.8064 0.5788 2.7575
Mg 1.4159 -1.1857 0.3111
Hf 6.9641 3.0641 2.4145
Mg 10.0544 2.5568 2.6974
Zr 4.4951 -1.6944 0.5936
Zr 8.6873 3.1656 -0.0789
Mg 3.5338 1.2877 -0.0321
Hf 2.7719 -1.7960 3.0870
```

offset from the most stable computed form = 0.000 eV/atom
total magnetization = 1.53 μB per cell

---

| no. | E_form (eV/atom) | total energy (eV per cell) |
| --- | --- | --- |
| 1 | -1.908 | -147.62 |
| 2 | -1.043 | -81.98 |
| 3 | -1.362 | -32.97 |
| 4 | -3.169 | -151.39 |
| 5 | -1.781 | -571.61 |
| 6 | 0.107 | -54.50 |